a:
PBE BP2Pb2O9, optimized geometry; calculated volume = 14.74 Å³/atom; crystal system = monoclinic; space group = P2_1/c, No. 14; ρ = 5.08 Mg/m³
1.0
5.5973 0.0000 0.0000
0.0000 17.4773 0.0000
-5.5403 0.0000 8.4373
B P Pb O
4 8 8 36
direct
0.0972 0.1892 0.2386 B
0.0972 0.3108 0.7386 B
0.9028 0.6892 0.2614 B
0.9028 0.8108 0.7614 B
0.1385 0.0778 0.4342 P
0.1385 0.4222 0.9342 P
0.3208 0.6383 0.5520 P
0.3208 0.8617 0.0520 P
0.6792 0.1383 0.9480 P
0.6792 0.3617 0.4480 P
0.8615 0.5778 0.0658 P
0.8615 0.9222 0.5658 P
0.1140 0.6251 0.8121 Pb
0.1140 0.8749 0.3121 Pb
0.4777 0.0353 0.1895 Pb
0.4777 0.4647 0.6895 Pb
0.5223 0.5353 0.3105 Pb
0.5223 0.9647 0.8105 Pb
0.8860 0.1251 0.6879 Pb
0.8860 0.3749 0.1879 Pb
0.0260 0.0165 0.3021 O
0.0260 0.4835 0.8021 O
0.1105 0.5820 0.5542 O
0.1105 0.9180 0.0542 O
0.1134 0.6055 0.0572 O
0.1134 0.8945 0.5572 O
0.1862 0.2499 0.1961 O
0.1862 0.2501 0.6961 O
0.1863 0.6639 0.3698 O
0.1863 0.8361 0.8698 O
0.2585 0.1490 0.3812 O
0.2585 0.3510 0.8812 O
0.3605 0.7081 0.6552 O
0.3605 0.7919 0.1552 O
0.4050 0.0552 0.5944 O
0.4053 0.0949 0.9070 O
0.4053 0.4051 0.4070 O
0.4050 0.4448 0.0944 O
0.5950 0.5552 0.9056 O
0.5947 0.5949 0.5930 O
0.5947 0.9051 0.0930 O
0.5950 0.9448 0.4056 O
0.6395 0.2081 0.8448 O
0.6395 0.2919 0.3448 O
0.7415 0.6490 0.1188 O
0.7415 0.8510 0.6188 O
0.8137 0.1639 0.1302 O
0.8137 0.3361 0.6302 O
0.8138 0.7499 0.3039 O
0.8138 0.7501 0.8039 O
0.8866 0.1055 0.4428 O
0.8866 0.3945 0.9428 O
0.8895 0.0820 0.9458 O
0.8895 0.4180 0.4458 O
0.9740 0.5165 0.1979 O
0.9740 0.9835 0.6979 O

b:
PBE BP2Pb2O9, optimized geometry; calculated volume = 13.41 Å³/atom; crystal system = monoclinic; space group = P2_1/c, No. 14; ρ = 5.58 Mg/m³
1.0
5.6437 0.0000 0.0000
0.0000 8.3141 0.0000
-5.0216 0.0000 16.0020
B P Pb O
4 8 8 36
direct
0.0752 0.2477 0.2151 B
0.0752 0.2523 0.7151 B
0.9248 0.7477 0.2849 B
0.9248 0.7523 0.7849 B
0.1435 0.0453 0.8548 P
0.1435 0.4547 0.3548 P
0.2140 0.5633 0.9167 P
0.2140 0.9367 0.4167 P
0.7860 0.0633 0.5833 P
0.7860 0.4367 0.0833 P
0.8565 0.5453 0.6452 P
0.8565 0.9547 0.1452 P
0.3114 0.1819 0.0608 Pb
0.3114 0.3181 0.5608 Pb
0.3328 0.6879 0.1333 Pb
0.3328 0.8121 0.6333 Pb
0.6672 0.1879 0.3667 Pb
0.6672 0.3121 0.8667 Pb
0.6886 0.6819 0.4392 Pb
0.6886 0.8181 0.9392 Pb
0.0042 0.5485 0.5821 O
0.0042 0.9515 0.0821 O
0.0322 0.1836 0.7914 O
0.0322 0.3164 0.2914 O
0.0364 0.1237 0.6500 O
0.0364 0.3763 0.1500 O
0.1242 0.6210 0.3091 O
0.1242 0.8790 0.8091 O
0.1368 0.0951 0.4484 O
0.1368 0.4049 0.9484 O
0.2977 0.6955 0.9841 O
0.2977 0.8045 0.4841 O
0.3170 0.1846 0.2239 O
0.3170 0.3154 0.7239 O
0.4195 0.5482 0.8733 O
0.4195 0.9518 0.3733 O
0.4233 0.0738 0.8957 O
0.4233 0.4262 0.3957 O
0.5767 0.5738 0.6043 O
0.5767 0.9262 0.1043 O
0.5805 0.0482 0.6267 O
0.5805 0.4518 0.1267 O
0.6831 0.6846 0.2761 O
0.6831 0.8154 0.7761 O
0.7023 0.1955 0.5159 O
0.7023 0.3045 0.0159 O
0.8632 0.5951 0.0516 O
0.8632 0.9049 0.5516 O
0.8758 0.1210 0.1909 O
0.8758 0.3790 0.6909 O
0.9636 0.6237 0.8500 O
0.9636 0.8763 0.3500 O
0.9678 0.6836 0.7086 O
0.9678 0.8164 0.2086 O
0.9958 0.0485 0.9179 O
0.9958 0.4515 0.4179 O

Most stable structure - b; separation to the second - 0.048 eV/atom.